1.
Material: Ca4Sn5S14
Method: DFT, GGA-PBE
State: relaxed

POSCAR file:
```
Ca4Sn5S14
1.0
11.2669 3.4411 -7.9356
-2.7579 -12.6214 -9.3886
-12.7811 12.3180 -12.8050
Sn S Ca
40 112 32
Direct
0.8299 0.0712 0.3434
0.6701 0.0712 0.8434
0.3796 0.5646 0.4807
0.1066 0.1100 0.8541
0.6782 0.5740 0.3536
0.8934 0.3900 0.3541
0.1782 0.9260 0.3536
0.1171 0.5938 0.2963
0.3829 0.5938 0.7963
0.6782 0.0740 0.1464
0.3829 0.0938 0.7037
0.3299 0.9288 0.1566
0.1171 0.0938 0.2037
0.8796 0.4354 0.0193
0.6204 0.9354 0.9807
0.8796 0.9354 0.4807
0.1204 0.0646 0.5193
0.6171 0.4062 0.2037
0.1701 0.9288 0.6566
0.6171 0.9062 0.2963
0.6066 0.3900 0.8541
0.8934 0.8900 0.1459
0.8218 0.5740 0.8536
0.3934 0.1100 0.3541
0.3218 0.4260 0.6464
0.8829 0.9062 0.7963
0.1204 0.5646 0.9807
0.8299 0.5712 0.1566
0.3218 0.9260 0.8536
0.6701 0.5712 0.6566
0.3934 0.6100 0.1459
0.1782 0.4260 0.1464
0.6066 0.8900 0.6459
0.3796 0.0646 0.0193
0.1066 0.6100 0.6459
0.8829 0.4062 0.7037
0.8218 0.0740 0.6464
0.6204 0.4354 0.5193
0.1701 0.4288 0.8434
0.3299 0.4288 0.3434
0.2414 0.5709 0.8798
0.7504 0.2014 0.6126
0.6678 0.0545 0.2540
0.8322 0.5545 0.7460
0.7586 0.9291 0.3798
0.9676 0.5709 0.0676
0.4566 0.9662 0.3498
0.0324 0.4291 0.9324
0.7414 0.4291 0.6202
0.7132 0.6301 0.0668
0.2414 0.0709 0.6202
0.4906 0.3171 0.7760
0.0345 0.6772 0.5572
0.5324 0.0709 0.9324
0.0345 0.1772 0.9428
0.4869 0.8753 0.8934
0.2504 0.5199 0.0728
0.9869 0.1247 0.6066
0.5131 0.6247 0.3934
0.2496 0.5199 0.5728
0.7496 0.2014 0.1126
0.5094 0.6829 0.2240
0.7414 0.9291 0.8798
0.9859 0.7559 0.8890
0.1678 0.9455 0.2460
0.4906 0.8171 0.7240
0.2995 0.2447 0.9658
0.5094 0.1829 0.2760
0.2005 0.7447 0.0342
0.9655 0.8228 0.0572
0.9906 0.1829 0.7760
0.9502 0.1942 0.2801
0.0141 0.2441 0.1110
0.4502 0.8058 0.2199
0.2496 0.2986 0.1126
0.7995 0.2553 0.9658
0.5434 0.5338 0.8498
0.2995 0.7447 0.5342
0.7005 0.7553 0.0342
0.7456 0.3366 0.7974
0.2868 0.3699 0.9332
0.4566 0.4662 0.1502
0.2496 0.7986 0.3874
0.2868 0.8699 0.5668
0.7544 0.8366 0.2026
0.7496 0.4801 0.9272
0.2544 0.1634 0.2974
0.0434 0.4662 0.6502
0.5345 0.3228 0.9428
0.3322 0.9455 0.7460
0.0141 0.7441 0.3890
0.2456 0.1634 0.7974
0.4655 0.6772 0.0572
0.0131 0.8753 0.3934
0.2586 0.5709 0.3798
0.9502 0.6942 0.2199
0.2496 0.0199 0.9272
0.0094 0.3171 0.2760
0.7868 0.1301 0.9332
0.7504 0.9801 0.0728
0.7496 0.7014 0.3874
0.7586 0.4291 0.1202
0.4869 0.3753 0.6066
0.5434 0.0338 0.6502
0.2504 0.0199 0.4272
0.2504 0.2986 0.6126
0.4676 0.4291 0.4324
0.0498 0.8058 0.7199
0.2005 0.2447 0.4658
0.9676 0.0709 0.4324
0.7132 0.1301 0.4332
0.4655 0.1772 0.4428
0.0324 0.9291 0.5676
0.2132 0.8699 0.0668
0.2544 0.6634 0.2026
0.5498 0.1942 0.7801
0.7504 0.4801 0.4272
0.7868 0.6301 0.5668
0.4502 0.3058 0.2801
0.5141 0.2559 0.1110
0.4676 0.9291 0.0676
0.4859 0.2441 0.6110
0.2504 0.7986 0.8874
0.9566 0.0338 0.1502
0.9655 0.3228 0.4428
0.0131 0.3753 0.1066
0.9906 0.6829 0.7240
0.4859 0.7441 0.8890
0.5324 0.5709 0.5676
0.2586 0.0709 0.1202
0.7504 0.7014 0.8874
0.5131 0.1247 0.1066
0.0434 0.9662 0.8498
0.8322 0.0545 0.7540
0.7995 0.7553 0.5342
0.3322 0.4455 0.7540
0.9859 0.2559 0.6110
0.7496 0.9801 0.5728
0.1678 0.4455 0.2540
0.5345 0.8228 0.5572
0.7544 0.3366 0.2974
0.0094 0.8171 0.2240
0.7456 0.8366 0.7026
0.7005 0.2553 0.4658
0.5498 0.6942 0.7199
0.0498 0.3058 0.7801
0.2456 0.6634 0.7026
0.5141 0.7559 0.3890
0.6678 0.5545 0.2460
0.9869 0.6247 0.8934
0.9566 0.5338 0.3498
0.2132 0.3699 0.4332
0.1391 0.2045 0.6897
0.3735 0.2998 0.5055
0.4123 0.2173 0.8683
0.3735 0.7998 0.9945
0.0877 0.2173 0.3683
0.8909 0.6238 0.4569
0.1391 0.7045 0.8103
0.6091 0.1238 0.5431
0.6391 0.7955 0.8103
0.4123 0.7173 0.6317
0.8735 0.7002 0.9945
0.1265 0.7998 0.4945
0.8909 0.1238 0.0431
0.6391 0.2955 0.6897
0.3909 0.8762 0.4569
0.3609 0.2045 0.1897
0.9123 0.2827 0.8683
0.9123 0.7827 0.6317
0.0877 0.7173 0.1317
0.6091 0.6238 0.9569
0.6265 0.7002 0.4945
0.3609 0.7045 0.3103
0.8609 0.7955 0.3103
0.6265 0.2002 0.0055
0.8735 0.2002 0.5055
0.3909 0.3762 0.0431
0.1265 0.2998 0.0055
0.8609 0.2955 0.1897
0.1091 0.8762 0.9569
0.5877 0.7827 0.1317
0.5877 0.2827 0.3683
0.1091 0.3762 0.5431
```

Calculated values
As for the energy: -0.3335 Ry per atom. As for the crystal system: orthorhombic. The calculation puts the size of the total moment at 0.00 μB per formula unit. As for the symmetry: No. 61.

***

2.
Material: TmCu5
Method: DFT, GGA-PBE
State: relaxed

POSCAR file:
```
TmCu5
1.0
0.0000 3.4879 3.4879
3.4879 0.0000 3.4879
3.4879 3.4879 0.0000
Tm Cu
1 5
Direct
0.0000 0.0000 0.0000
0.2500 0.2500 0.2500
0.6240 0.6240 0.1280
0.1280 0.6240 0.6240
0.6240 0.1280 0.6240
0.6240 0.6240 0.6240
```

Calculated values
As for the energy: -0.3205 Ry per atom. As for the crystal system: cubic. As for the symmetry: No. 216.

***

3.
Material: Na3LaMgSiS2O12
Method: DFT, GGA-PBE
State: relaxed

POSCAR file:
```
Na3LaMgSiS2O12
1.0
9.4700 0.0000 0.0000
-4.7350 8.1851 0.0167
0.0000 0.0493 23.2221
O Mg Na S Si La
72 6 18 12 6 6
Direct
0.4466 0.1223 0.5309
0.4984 0.1716 0.2449
0.5159 0.8434 0.7522
0.4683 0.3367 0.4231
0.5404 0.8902 0.3566
0.8878 0.3556 0.6364
0.6732 0.1716 0.7449
0.8818 0.5439 0.0231
0.4678 0.3556 0.1364
0.8063 0.8176 0.5823
0.2969 0.8492 0.9715
0.0416 0.8423 0.4176
0.1570 0.6386 0.0826
0.8099 0.0220 0.8097
0.1416 0.5011 0.5812
0.3578 0.8648 0.5809
0.0198 0.7936 0.7022
0.5353 0.6581 0.2582
0.6621 0.5439 0.5231
0.8834 0.3108 0.5337
0.2243 0.2263 0.6932
0.8061 0.0181 0.0901
0.1145 0.4534 0.8693
0.1741 0.1895 0.4171
0.8260 0.9754 0.4086
0.3275 0.8434 0.2522
0.0020 0.2263 0.1932
0.1939 0.2098 0.0923
0.4795 0.1166 0.6350
0.7779 0.9809 0.6937
0.8658 0.5503 0.4208
0.6510 0.1459 0.4187
0.1410 0.6797 0.4654
0.8683 0.3367 0.9231
0.3377 0.4627 0.7541
0.3498 0.8902 0.8566
0.0114 0.8176 0.0823
0.8709 0.5140 0.1402
0.8045 0.7769 0.3054
0.5592 0.6606 0.8616
0.5386 0.6797 0.9654
0.4273 0.3108 0.0337
0.1494 0.9754 0.9086
0.8313 0.3010 0.2490
0.1250 0.4627 0.2541
0.6431 0.5140 0.6402
0.3389 0.4534 0.3693
0.1014 0.6606 0.3616
0.1229 0.6581 0.7582
0.2087 0.1859 0.7972
0.4816 0.6386 0.5826
0.0154 0.1895 0.9171
0.4949 0.1459 0.9187
0.9725 0.7769 0.8054
0.5069 0.8648 0.0809
0.3084 0.4403 0.4733
0.1319 0.4403 0.9733
0.6370 0.1166 0.1350
0.8007 0.8423 0.9176
0.5524 0.8492 0.4715
0.6845 0.5503 0.9208
0.8272 0.5338 0.7474
0.2030 0.9809 0.1937
0.2119 0.0181 0.5901
0.3594 0.5011 0.0812
0.2120 0.0220 0.3097
0.9771 0.1859 0.2972
0.6757 0.1223 0.0309
0.4698 0.3010 0.7490
0.7066 0.5338 0.2474
0.0159 0.2098 0.5923
0.7738 0.7936 0.2022
0.6578 0.3399 0.1828
0.3069 0.6725 0.0144
0.0117 0.0180 0.3493
0.3656 0.6725 0.5144
0.6821 0.3399 0.6828
0.0063 0.0180 0.8493
0.3414 0.0283 0.4027
0.3889 0.0119 0.7536
0.0092 0.6471 0.2371
0.6989 0.6875 0.4266
0.9667 0.9810 0.4917
0.2938 0.9407 0.0790
0.3194 0.3512 0.5862
0.6230 0.0119 0.2536
0.6546 0.3015 0.8259
0.3303 0.6708 0.1591
0.6469 0.3015 0.3259
0.0142 0.9810 0.9917
0.6379 0.6471 0.7371
0.0318 0.3512 0.0862
0.6869 0.0283 0.9027
0.3406 0.6708 0.6591
0.9886 0.6875 0.9266
0.6469 0.9407 0.5790
0.9844 0.6895 0.7545
0.6556 0.0293 0.0851
0.9848 0.2924 0.2490
0.3076 0.2924 0.7490
0.9821 0.3491 0.5872
0.0402 0.6834 0.4176
0.7050 0.6895 0.2545
0.3736 0.0293 0.5851
0.3196 0.3551 0.4212
0.0355 0.3551 0.9212
0.6432 0.6834 0.9176
0.3670 0.3491 0.0872
0.3198 0.9696 0.9157
0.7029 0.0150 0.7527
0.9741 0.6257 0.0841
0.3121 0.0150 0.2527
0.6516 0.6257 0.5841
0.6498 0.9696 0.4157
0.3356 0.6718 0.3192
0.0017 0.9831 0.1509
0.9813 0.9831 0.6509
0.3362 0.6718 0.8192
0.6830 0.3377 0.4856
0.6547 0.3377 0.9856
```

Calculated values
As for the energy: -0.4659 Ry per atom. As for the crystal system: monoclinic. The calculation puts the size of the total moment at 0.00 μB per formula unit. As for the symmetry: No. 9.

***

4.
Material: YP3O9
Method: DFT, GGA-PBE
State: relaxed

POSCAR file:
```
YP3O9
1.0
9.8022 0.0000 0.0000
0.0000 7.0981 0.0000
0.0000 0.4040 11.1410
O Y P
36 4 12
Direct
0.7500 0.0073 0.4244
0.5854 0.3482 0.3203
0.7500 0.8737 0.9448
0.5851 0.1739 0.1216
0.2500 0.3543 0.5405
0.0892 0.7810 0.1638
0.2500 0.9927 0.5756
0.9146 0.3482 0.3203
0.4146 0.6518 0.6797
0.9108 0.2190 0.8362
0.4081 0.7305 0.3943
0.8719 0.7959 0.2778
0.5919 0.2695 0.6057
0.4108 0.7810 0.1638
0.9081 0.2695 0.6057
0.0851 0.8261 0.8784
0.5892 0.2190 0.8362
0.6281 0.7959 0.2778
0.0854 0.6518 0.6797
0.7500 0.5111 0.9813
0.2500 0.1263 0.0552
0.0919 0.7305 0.3943
0.0500 0.0503 0.3045
0.3719 0.2041 0.7222
0.7500 0.6457 0.4595
0.2500 0.4889 0.0187
0.1252 0.3465 0.1965
0.9500 0.9497 0.6955
0.8748 0.6535 0.8035
0.4149 0.8261 0.8784
0.5500 0.9497 0.6955
0.9149 0.1739 0.1216
0.1281 0.2041 0.7222
0.6252 0.6535 0.8035
0.3748 0.3465 0.1965
0.4500 0.0503 0.3045
0.7500 0.1893 0.9805
0.2500 0.6745 0.5373
0.2500 0.8107 0.0195
0.7500 0.3255 0.4627
0.5337 0.1726 0.7158
0.0104 0.7673 0.7681
0.4896 0.7673 0.7681
0.9896 0.2327 0.2319
0.4663 0.8274 0.2842
0.2500 0.1857 0.6261
0.7500 0.6794 0.8961
0.0337 0.8274 0.2842
0.5104 0.2327 0.2319
0.9663 0.1726 0.7158
0.7500 0.8143 0.3739
0.2500 0.3206 0.1039
```

Calculated values
As for the crystal system: monoclinic. The calculation puts the size of the total moment at 0.00 μB per formula unit. As for the symmetry: No. 11. The energy relative to the lowest polymorph listed for this composition comes out at 1 meV per atom.